Entry 1:
Computed, not measured: crystalline YAlGe at its relaxed geometry at the GGA-PBE level of DFT.

Cell: 4.0732 10.4721 5.7863 Å, 90.00 90.00 90.00°
Space group Cmcm (No. 63)
Asymmetric unit:
Y (0.0000, 0.1897, 0.2500) (multiplicity 4)
Al (0.0000, 0.5000, 0.0000) (multiplicity 4)
Ge (0.0000, 0.1056, 0.7500) (multiplicity 4)

## Properties
Calculated volume = 20.57 Å³ per atom
Formation energy from the elements = -0.665 eV/atom

---

Entry 2:
Computed, not measured: crystalline AlH3 at its relaxed geometry at the GGA-PBE level of DFT.

Cell: 6.5136 11.0162 6.5347 Å, 90.00 90.00 90.00°
Space group Cmcm (No. 63)
Asymmetric unit:
Al (0.0000, 0.0000, 0.0000) (multiplicity 4)
Al (0.2500, 0.2500, 0.0000) (multiplicity 8)
H (0.0000, 0.0531, 0.2500) (multiplicity 4)
H (0.0000, 0.2831, 0.0663) (multiplicity 8)
H (0.1922, 0.1013, 0.5618) (multiplicity 16)
H (0.1984, 0.2935, 0.7500) (multiplicity 8)

## Properties
Calculated volume = 9.77 Å³ per atom
Formation energy from the elements = -0.135 eV/atom

---

Entry 3:
Computed, not measured: crystalline Al3H at its relaxed geometry at the GGA-PBE level of DFT.

Cell: 6.1696 6.1696 6.1696 Å, 90.00 90.00 90.00°
Space group Fm-3m (No. 225)
Asymmetric unit:
Al (0.0000, 0.0000, 0.0000) (multiplicity 4)
Al (0.2500, 0.2500, 0.2500) (multiplicity 8)
H (0.0000, 0.0000, 0.5000) (multiplicity 4)

## Properties
Calculated volume = 14.68 Å³ per atom
Formation energy from the elements = 0.366 eV/atom
Magnetic moment = 0.0 Bohr magnetons per cell

---

Entry 4:
Computed, not measured: crystalline AlH3 at its relaxed geometry at the GGA-PBE level of DFT.

Cell: 4.4688 4.4688 11.8434 Å, 90.00 90.00 120.00°
Space group R-3c (No. 167, hexagonal axes)
Asymmetric unit:
Al (0.0000, 0.0000, 0.0000) (multiplicity 6)
H (0.0000, 0.3714, 0.2500) (multiplicity 18)

## Properties
Calculated volume = 8.53 Å³ per atom
Formation energy from the elements = -0.132 eV/atom